# 1
Here is crystalline Na2LiNdCl6 at its relaxed geometry from Materials Project. Energies are from GGA-PBE.

a b c (Å): 7.401 7.401 7.401
angles (deg): 60.00 60.00 60.00
Atoms (fractional coordinates):
1 Na 0.250 0.250 0.250
2 Na 0.750 0.750 0.750
3 Li 0.000 0.000 0.000
4 Nd 0.500 0.500 0.500
5 Cl 0.241 0.241 0.759
6 Cl 0.241 0.759 0.241
7 Cl 0.241 0.759 0.759
8 Cl 0.759 0.241 0.241
9 Cl 0.759 0.241 0.759
10 Cl 0.759 0.759 0.241



# 2
Here is crystalline Tl4PbSe3 at its relaxed geometry from Materials Project. Energies are from GGA-PBE.

a b c (Å): 8.909 8.909 8.909
angles (deg): 122.66 122.66 85.45
Atoms (fractional coordinates):
1 Tl 0.004 0.504 0.198
2 Tl 0.193 0.996 0.500
3 Tl 0.307 0.807 0.802
4 Tl 0.496 0.693 0.500
5 Tl 0.504 0.307 0.500
6 Tl 0.693 0.193 0.198
7 Tl 0.807 0.004 0.500
8 Tl 0.996 0.496 0.802
9 Pb 0.000 0.000 0.000
10 Pb 0.500 0.500 0.000
11 Se 0.163 0.337 0.500
12 Se 0.250 0.250 0.000
13 Se 0.337 0.837 0.174
14 Se 0.663 0.163 0.826
15 Se 0.750 0.750 0.000
16 Se 0.837 0.663 0.500

Output
The energy relative to the lowest polymorph listed for this composition comes out at 14 meV/atom.



For reference, ΔE_f by record: -2.212, -0.566 eV per atom.